Al2O3 after structural relaxation. Source: Materials Project, functional PBE-GGA.

```
Al2O3
1.0
-6.0685 -0.2737 0.4608
-5.0691 -2.4300 2.3480
-5.1313 0.4668 3.2505
O Al
3 2
Direct
0.5821 0.5821 0.5821
0.0283 0.0283 0.0283
0.8065 0.8065 0.8065
0.1929 0.1929 0.1929
0.6932 0.6932 0.6932
```

Formation enthalpy at 0 K in meV/atom: -3335.6
Theoretical density in g/cm3: 3.6
Piezoelectric modulus e_max in C/m2: 0.27

***

Ba3Al3As5 after structural relaxation. Source: Materials Project, functional PBE-GGA.

```
Ba3Al3As5
1.0
10.9823 -7.5847 0.0000
10.9823 7.5847 0.0000
5.7440 0.0000 12.0476
Al As Ba
18 30 18
Direct
0.0802 0.5723 0.4942
0.0058 0.9277 0.4198
0.4198 0.0058 0.9277
0.4277 0.5058 0.9198
0.9277 0.4198 0.0058
0.2500 0.9786 0.5214
0.5723 0.4942 0.0802
0.9942 0.0723 0.5802
0.5214 0.2500 0.9786
0.4786 0.7500 0.0214
0.0723 0.5802 0.9942
0.5058 0.9198 0.4277
0.7500 0.0214 0.4786
0.4942 0.0802 0.5723
0.5802 0.9942 0.0723
0.0214 0.4786 0.7500
0.9198 0.4277 0.5058
0.9786 0.5214 0.2500
0.3810 0.1190 0.7500
0.6251 0.8874 0.5522
0.1190 0.7500 0.3810
0.7918 0.5301 0.3847
0.5522 0.6251 0.8874
0.8749 0.9478 0.6126
0.7082 0.1153 0.9699
0.4699 0.6153 0.2082
0.2918 0.8847 0.0301
0.0301 0.2918 0.8847
0.6190 0.8810 0.2500
0.1153 0.9699 0.7082
0.8874 0.5522 0.6251
0.0522 0.3874 0.1251
0.9478 0.6126 0.8749
0.1126 0.4478 0.3749
0.3749 0.1126 0.4478
0.3874 0.1251 0.0522
0.6153 0.2082 0.4699
0.6126 0.8749 0.9478
0.9699 0.7082 0.1153
0.8847 0.0301 0.2918
0.5301 0.3847 0.7918
0.4478 0.3749 0.1126
0.8810 0.2500 0.6190
0.7500 0.3810 0.1190
0.3847 0.7918 0.5301
0.1251 0.0522 0.3874
0.2082 0.4699 0.6153
0.2500 0.6190 0.8810
0.8511 0.2753 0.3553
0.6447 0.1489 0.7247
0.1027 0.1027 0.1027
0.6489 0.1447 0.2247
0.3511 0.8553 0.7753
0.1489 0.7247 0.6447
0.2753 0.3553 0.8511
0.2247 0.6489 0.1447
0.7753 0.3511 0.8553
0.7500 0.7500 0.7500
0.3553 0.8511 0.2753
0.8973 0.8973 0.8973
0.2500 0.2500 0.2500
0.3973 0.3973 0.3973
0.1447 0.2247 0.6489
0.8553 0.7753 0.3511
0.6027 0.6027 0.6027
0.7247 0.6447 0.1489
```

Formation enthalpy at 0 K in meV/atom: -887.5
Theoretical density in g/cm3: 4.3